[1]
DFT (PBE-GGA) results for a geometry-optimized Mg14SiBi structure.

POSCAR file:
```
Mg14SiBi
1.0
-3.9819 4.9384 0.0108
0.9676 -3.6001 5.4083
7.7013 6.2038 2.7518
Mg Bi Si
14 1 1
Direct
0.8290 0.6645 0.8701 Mg
0.6701 0.8344 0.1250 Mg
0.6677 0.8349 0.6250 Mg
0.3310 0.6577 0.8763 Mg
0.6677 0.3328 0.6250 Mg
0.1700 0.3350 0.6250 Mg
0.8290 0.6645 0.3799 Mg
0.3310 0.1733 0.8763 Mg
0.6701 0.3357 0.1250 Mg
0.8380 0.1690 0.3701 Mg
0.8380 0.1690 0.8799 Mg
0.1713 0.8356 0.6250 Mg
0.3310 0.6577 0.3737 Mg
0.3310 0.1733 0.3737 Mg
0.1637 0.8318 0.1250 Bi
0.1617 0.3309 0.1250 Si
```

ΔE to the lowest computed polymorph (eV/atom): 0.002
VASP energy (eV/atom): -1.961

[2]
DFT (PBE-GGA) results for a geometry-optimized Mg14SiBi structure.

POSCAR file:
```
Mg14SiBi
1.0
6.3730 0.0000 0.0000
-3.1865 5.5192 0.0000
0.0000 0.0000 10.2187
Mg Si Bi
14 1 1
Direct
0.6682 0.8318 0.1250 Mg
0.3355 0.1645 0.8843 Mg
0.6682 0.3364 0.1250 Mg
0.3355 0.1645 0.3657 Mg
0.8290 0.1645 0.8843 Mg
0.8290 0.1645 0.3657 Mg
0.3355 0.6710 0.8843 Mg
0.8333 0.6667 0.3775 Mg
0.1636 0.8318 0.1250 Mg
0.6668 0.8332 0.6250 Mg
0.6668 0.3336 0.6250 Mg
0.1664 0.8332 0.6250 Mg
0.3355 0.6710 0.3657 Mg
0.8333 0.6667 0.8725 Mg
0.1667 0.3333 0.1250 Si
0.1667 0.3333 0.6250 Bi
```

ΔE to the lowest computed polymorph (eV/atom): 0.000
VASP energy (eV/atom): -1.964

[3]
DFT (PBE-GGA) results for a geometry-optimized Mg63Si32Bi structure.

POSCAR file:
```
Mg63Si32Bi
1.0
12.7500 0.0000 0.0000
0.0000 12.7500 0.0000
0.0000 0.0000 12.7500
Si Mg Bi
32 63 1
Direct
0.3744 0.3744 0.8748 Si
0.1253 0.1253 0.3747 Si
0.3747 0.6253 0.6253 Si
0.8747 0.8747 0.3747 Si
0.6253 0.3747 0.6253 Si
0.8748 0.3744 0.3744 Si
0.6256 0.8748 0.6256 Si
0.8747 0.1253 0.6253 Si
0.8714 0.8714 0.8714 Si
0.6253 0.8747 0.1253 Si
0.6256 0.6256 0.8748 Si
0.3747 0.3747 0.3747 Si
0.8747 0.6253 0.1253 Si
0.1252 0.6256 0.3744 Si
0.8747 0.3747 0.8747 Si
0.1253 0.3747 0.1253 Si
0.6253 0.6253 0.3747 Si
0.3744 0.8748 0.3744 Si
0.3747 0.1253 0.1253 Si
0.6253 0.1253 0.8747 Si
0.6256 0.3744 0.1252 Si
0.8748 0.6256 0.6256 Si
0.8714 0.1286 0.1286 Si
0.6256 0.1252 0.3744 Si
0.1253 0.8747 0.6253 Si
0.3744 0.6256 0.1252 Si
0.1286 0.8714 0.1286 Si
0.1253 0.6253 0.8747 Si
0.3747 0.8747 0.8747 Si
0.1252 0.3744 0.6256 Si
0.1286 0.1286 0.8714 Si
0.3744 0.1252 0.6256 Si
0.0010 0.2507 0.2507 Mg
0.7499 0.7499 0.2501 Mg
0.7500 0.4998 0.7500 Mg
0.5000 0.2502 0.5000 Mg
0.5000 0.5000 0.2502 Mg
0.2501 0.7499 0.7499 Mg
0.2502 0.5000 0.5000 Mg
0.2501 0.2501 0.2501 Mg
0.7447 0.0000 0.0000 Mg
0.0000 0.5000 0.2499 Mg
0.7500 0.2500 0.5002 Mg
0.7493 0.2507 0.9990 Mg
0.7498 0.5000 0.5000 Mg
0.7473 0.7473 0.7473 Mg
0.0000 0.5000 0.7501 Mg
0.2507 0.0010 0.2507 Mg
0.2500 0.7500 0.5002 Mg
0.2507 0.9990 0.7493 Mg
0.9990 0.7493 0.2507 Mg
0.0000 0.5000 0.5000 Mg
0.0000 0.0000 0.2553 Mg
0.5000 0.0000 0.7501 Mg
0.5002 0.2500 0.7500 Mg
0.0000 0.0000 0.7447 Mg
0.2500 0.4998 0.2500 Mg
0.5000 0.5000 0.5000 Mg
0.5000 0.2499 0.0000 Mg
0.5002 0.7500 0.2500 Mg
0.2527 0.7473 0.2527 Mg
0.9990 0.2507 0.7493 Mg
0.0000 0.5000 0.0000 Mg
0.5000 0.0000 0.0000 Mg
0.0000 0.7501 0.5000 Mg
0.7493 0.7493 0.0010 Mg
0.5000 0.0000 0.5000 Mg
0.2499 0.0000 0.5000 Mg
0.7493 0.0010 0.7493 Mg
0.2500 0.2500 0.4998 Mg
0.7501 0.0000 0.5000 Mg
0.0000 0.7447 0.0000 Mg
0.7501 0.5000 0.0000 Mg
0.5000 0.7498 0.5000 Mg
0.0010 0.7493 0.7493 Mg
0.2499 0.5000 0.0000 Mg
0.7500 0.5002 0.2500 Mg
0.4998 0.2500 0.2500 Mg
0.2507 0.2507 0.0010 Mg
0.2500 0.5002 0.7500 Mg
0.7493 0.9990 0.2507 Mg
0.5000 0.5000 0.0000 Mg
0.5000 0.5000 0.7498 Mg
0.2507 0.7493 0.9990 Mg
0.2553 0.0000 0.0000 Mg
0.7499 0.2501 0.7499 Mg
0.2527 0.2527 0.7473 Mg
0.5000 0.7501 0.0000 Mg
0.7473 0.2527 0.2527 Mg
0.0000 0.2553 0.0000 Mg
0.5000 0.0000 0.2499 Mg
0.0000 0.2499 0.5000 Mg
0.7500 0.7500 0.4998 Mg
0.0000 0.0000 0.5000 Mg
0.4998 0.7500 0.7500 Mg
0.0000 0.0000 0.0000 Bi
```

VASP energy (eV/atom): -2.985

[4]
DFT (PBE-GGA) results for a geometry-optimized Mg64Si31Bi structure.

POSCAR file:
```
Mg64Si31Bi
1.0
12.7533 0.0000 0.0000
0.0000 12.7533 0.0000
0.0000 0.0000 12.7533
Mg Si Bi
64 31 1
Direct
0.1252 0.1252 0.6241 Mg
0.8748 0.8748 0.6241 Mg
0.3750 0.6250 0.8747 Mg
0.8748 0.6241 0.8748 Mg
0.3747 0.3747 0.3747 Mg
0.8747 0.6250 0.3750 Mg
0.6250 0.3750 0.1253 Mg
0.1253 0.3750 0.6250 Mg
0.3750 0.1253 0.6250 Mg
0.3759 0.8748 0.8748 Mg
0.1253 0.6250 0.3750 Mg
0.6241 0.8748 0.1252 Mg
0.3750 0.1253 0.3750 Mg
0.6241 0.1252 0.8748 Mg
0.8748 0.1252 0.6241 Mg
0.8747 0.3750 0.6250 Mg
0.1252 0.8748 0.6241 Mg
0.3750 0.3750 0.1253 Mg
0.6250 0.3750 0.8747 Mg
0.1252 0.3759 0.1252 Mg
0.8668 0.1332 0.8668 Mg
0.8668 0.8668 0.1332 Mg
0.6253 0.3747 0.3747 Mg
0.8748 0.3759 0.1252 Mg
0.8748 0.6241 0.1252 Mg
0.8747 0.3750 0.3750 Mg
0.1332 0.8668 0.1332 Mg
0.8668 0.8668 0.8668 Mg
0.3747 0.6253 0.6253 Mg
0.6250 0.1253 0.3750 Mg
0.6253 0.6253 0.6253 Mg
0.6253 0.6253 0.3747 Mg
0.3750 0.8747 0.6250 Mg
0.8748 0.1252 0.3759 Mg
0.1332 0.1332 0.1332 Mg
0.6250 0.8747 0.3750 Mg
0.3759 0.8748 0.1252 Mg
0.6250 0.6250 0.8747 Mg
0.6250 0.8747 0.6250 Mg
0.1332 0.1332 0.8668 Mg
0.6241 0.8748 0.8748 Mg
0.1252 0.3759 0.8748 Mg
0.6250 0.1253 0.6250 Mg
0.1332 0.8668 0.8668 Mg
0.1252 0.8748 0.3759 Mg
0.3759 0.1252 0.1252 Mg
0.6250 0.6250 0.1253 Mg
0.3747 0.3747 0.6253 Mg
0.1252 0.1252 0.3759 Mg
0.8747 0.6250 0.6250 Mg
0.1253 0.6250 0.6250 Mg
0.6253 0.3747 0.6253 Mg
0.3747 0.6253 0.3747 Mg
0.8748 0.8748 0.3759 Mg
0.3750 0.6250 0.1253 Mg
0.6241 0.1252 0.1252 Mg
0.8668 0.1332 0.1332 Mg
0.1252 0.6241 0.1252 Mg
0.3750 0.8747 0.3750 Mg
0.3759 0.1252 0.8748 Mg
0.1252 0.6241 0.8748 Mg
0.8748 0.3759 0.8748 Mg
0.3750 0.3750 0.8747 Mg
0.1253 0.3750 0.3750 Mg
0.5000 0.2499 0.7501 Si
0.7501 0.7501 0.5000 Si
0.0000 0.5000 0.5000 Si
0.7501 0.2499 0.5000 Si
0.2499 0.7501 0.5000 Si
0.5000 0.5000 0.5000 Si
0.0000 0.2505 0.2505 Si
0.7495 0.7495 0.0000 Si
0.0000 0.7495 0.2505 Si
0.2505 0.0000 0.2505 Si
0.2505 0.0000 0.7495 Si
0.5000 0.7501 0.2499 Si
0.5000 0.0000 0.0000 Si
0.2499 0.2499 0.5000 Si
0.0000 0.5000 0.0000 Si
0.2505 0.7495 0.0000 Si
0.5000 0.0000 0.5000 Si
0.0000 0.7495 0.7495 Si
0.5000 0.2499 0.2499 Si
0.0000 0.0000 0.5000 Si
0.7495 0.0000 0.7495 Si
0.5000 0.7501 0.7501 Si
0.7495 0.2505 0.0000 Si
0.5000 0.5000 0.0000 Si
0.2499 0.5000 0.7501 Si
0.0000 0.2505 0.7495 Si
0.7501 0.5000 0.7501 Si
0.7501 0.5000 0.2499 Si
0.2505 0.2505 0.0000 Si
0.7495 0.0000 0.2505 Si
0.2499 0.5000 0.2499 Si
0.0000 0.0000 0.0000 Bi
```

VASP energy (eV/atom): -2.956

[5]
DFT (PBE-GGA) results for a geometry-optimized SmMg2Bi2 structure.

POSCAR file:
```
SmMg2Bi2
1.0
-2.4348 -4.2173 0.0000
-2.4348 4.2173 0.0000
0.0000 0.0000 -7.4057
Sm Bi Mg
1 2 2
Direct
0.0000 0.0000 0.0000 Sm
0.3333 0.6667 0.7596 Bi
0.6667 0.3333 0.2404 Bi
0.3333 0.6667 0.3575 Mg
0.6667 0.3333 0.6425 Mg
```

VASP energy (eV/atom): -3.552

[6]
DFT (PBE-GGA) results for a geometry-optimized Mg14SnBi structure.

POSCAR file:
```
Mg14SnBi
1.0
-6.1084 -1.6287 -1.0919
4.8109 -4.6372 0.6312
-1.7189 -0.3944 10.2043
Mg Sn Bi
14 1 1
Direct
0.6681 0.8343 0.1250 Mg
0.8331 0.1665 0.8746 Mg
0.6681 0.3339 0.1250 Mg
0.3338 0.1692 0.8723 Mg
0.8331 0.1665 0.3754 Mg
0.8305 0.6652 0.8718 Mg
0.3338 0.6646 0.3777 Mg
0.8305 0.6652 0.3782 Mg
0.3338 0.6646 0.8723 Mg
0.6672 0.3336 0.6250 Mg
0.1687 0.8344 0.6250 Mg
0.6672 0.8336 0.6250 Mg
0.3338 0.1692 0.3777 Mg
0.1687 0.3343 0.6250 Mg
0.1653 0.3326 0.1250 Sn
0.1645 0.8322 0.1250 Bi
```

ΔE to the lowest computed polymorph (eV/atom): 0.009
VASP energy (eV/atom): -1.918

For reference, magnetic moment by record: 0.00; 0.00; 0.90; 0.98; 0.00; 0.01 μB per formula unit.
For reference, energy relative to the elements by record: 0.02; 0.02; -0.09; -0.10; -0.41; -0.02 eV/atom.